A geometry-optimized MgCrO4 structure. Source: the Materials Project database, functional r²SCAN.

Cell: 4.9864 4.9864 6.3367 Å, 90.00 90.00 113.25°
Atoms (fractional coordinates):
Mg1 0.0000 0.0000 0.0000
Mg2 0.0000 0.0000 0.5000
Cr1 0.3586 0.6414 0.7500
Cr2 0.6414 0.3586 0.2500
O1 0.7258 0.7791 0.7500
O2 0.2742 0.2209 0.2500
O3 0.7791 0.7258 0.2500
O4 0.2209 0.2742 0.7500
O5 0.2464 0.7536 0.9579
O6 0.7536 0.2464 0.4579
O7 0.7536 0.2464 0.0421
O8 0.2464 0.7536 0.5421

## Properties
SG	Cmcm
electronic total energy	-113.45	eV per cell
calculated formation energy	-2266	meV/atom

A geometry-optimized Y2Zn17 structure. Source: the Materials Project database, functional r²SCAN.

Cell: 6.6972 6.6972 6.6972 Å, 82.95 82.95 82.95°
Atoms (fractional coordinates):
Y1 0.6642 0.6642 0.6642
Y2 0.3358 0.3358 0.3358
Zn1 0.3504 0.3504 0.8389
Zn2 0.3504 0.8389 0.3504
Zn3 0.0994 0.0994 0.0994
Zn4 0.9006 0.9006 0.9006
Zn5 0.0000 0.0000 0.5000
Zn6 0.5000 0.0000 0.0000
Zn7 0.0000 0.5000 0.0000
Zn8 0.7043 0.2957 0.0000
Zn9 0.0000 0.7043 0.2957
Zn10 0.2957 0.0000 0.7043
Zn11 0.2957 0.7043 0.0000
Zn12 0.0000 0.2957 0.7043
Zn13 0.7043 0.0000 0.2957
Zn14 0.6496 0.1611 0.6496
Zn15 0.6496 0.6496 0.1611
Zn16 0.1611 0.6496 0.6496
Zn17 0.8389 0.3504 0.3504

## Properties
SG	R-3m
electronic total energy	-197.32	eV per cell
calculated formation energy	-274	meV/atom

A geometry-optimized GdMg2 structure. Source: the Materials Project database, functional r²SCAN.

Cell: 6.0859 6.0859 6.0859 Å, 60.00 60.00 60.00°
Atoms (fractional coordinates):
Gd1 0.1250 0.1250 0.1250
Gd2 0.8750 0.8750 0.8750
Mg1 0.5000 0.0000 0.5000
Mg2 0.0000 0.5000 0.5000
Mg3 0.5000 0.5000 0.5000
Mg4 0.5000 0.5000 0.0000

## Properties
SG	Fd-3m
electronic total energy	-104.05	eV per cell
calculated formation energy	-96	meV/atom

A geometry-optimized In3Cu7 structure. Source: the Materials Project database, functional r²SCAN.

Cell: 6.6628 9.0676 10.0315 Å, 106.59 96.98 90.00°
Atoms (fractional coordinates):
In1 0.2081 0.4714 0.9433
In2 0.7919 0.5286 0.0567
In3 0.3813 0.0067 0.6346
In4 0.6187 0.9933 0.3654
In5 0.0785 0.7183 0.5166
In6 0.9215 0.2817 0.4834
In7 0.8579 0.7352 0.8180
In8 0.1421 0.2648 0.1820
In9 0.6748 0.1633 0.1040
In10 0.3252 0.8367 0.8960
In11 0.4797 0.3622 0.6210
In12 0.5203 0.6378 0.3790
Cu1 0.0000 0.0000 0.0000
Cu2 0.0000 0.0000 0.5000
Cu3 0.6984 0.8542 0.0638
Cu4 0.3016 0.1458 0.9362
Cu5 0.1552 0.5405 0.6963
Cu6 0.8448 0.4595 0.3037
Cu7 0.8460 0.4272 0.7730
Cu8 0.1540 0.5728 0.2270
Cu9 0.5605 0.2921 0.8669
Cu10 0.4395 0.7079 0.1331
Cu11 0.7277 0.8504 0.5847
Cu12 0.2723 0.1496 0.4153
Cu13 0.6635 0.0007 0.8391
Cu14 0.3365 0.9993 0.1609
Cu15 0.7579 0.1420 0.6652
Cu16 0.2421 0.8580 0.3348
Cu17 0.4602 0.6909 0.6533
Cu18 0.5398 0.3091 0.3467
Cu19 0.1424 0.2404 0.7136
Cu20 0.8576 0.7596 0.2864
Cu21 0.9690 0.0166 0.2494
Cu22 0.0310 0.9834 0.7506
Cu23 0.2274 0.4497 0.4350
Cu24 0.7726 0.5503 0.5650
Cu25 0.5287 0.5855 0.8637
Cu26 0.4713 0.4145 0.1363
Cu27 0.9310 0.2341 0.9132
Cu28 0.0690 0.7659 0.0868

## Properties
SG	P-1
electronic total energy	-575.90	eV per cell
calculated formation energy	-31	meV/atom